P.
Here is a relaxed structure of Er3Mn3Ga2Ge from the Materials Project. Energies are from PBE-GGA. Values from VASP.

Properties
Symmetry: P-6

```
&SYSTEM
  ibrav = 0, nat = 9, ntyp = 4
/
ATOMIC_SPECIES
Er 167.26 Er.upf
Ga 69.72 Ga.upf
Mn 54.94 Mn.upf
Ge 72.64 Ge.upf
ATOMIC_POSITIONS crystal
Er 0.089 0.335 0.500
Er 0.247 0.911 0.500
Er 0.665 0.753 0.500
Ga 0.667 0.333 0.500
Ga 0.000 0.000 0.000
Mn 0.662 0.102 0.000
Mn 0.898 0.561 0.000
Mn 0.439 0.338 0.000
Ge 0.333 0.667 0.000
CELL_PARAMETERS angstrom
-3.351 3.694 -4.899
-2.600 -6.123 2.150
-2.144 1.939 2.928
```

Q.
Here is a relaxed structure of Er3Mn3Ga2Ge from the Materials Project. Energies are from PBE-GGA. Values from VASP.

Properties
Symmetry: P-62m

```
&SYSTEM
  ibrav = 0, nat = 9, ntyp = 4
/
ATOMIC_SPECIES
Ge 72.64 Ge.upf
Ga 69.72 Ga.upf
Mn 54.94 Mn.upf
Er 167.26 Er.upf
ATOMIC_POSITIONS crystal
Ge 0.000 0.000 0.500
Ga 0.333 0.667 0.000
Ga 0.667 0.333 0.000
Mn 0.234 0.234 0.000
Mn 0.766 0.000 0.000
Mn 0.000 0.766 0.000
Er 0.000 0.413 0.500
Er 0.587 0.587 0.500
Er 0.413 0.000 0.500
CELL_PARAMETERS angstrom
3.550 -6.148 0.000
3.550 6.148 0.000
0.000 0.000 4.048
```

Which structure loses on stability? Q does.

P.
Here is a relaxed structure of Er2GeO5 from the Materials Project. Energies are from PBE-GGA. Values from VASP.

Properties
Symmetry: P2_1/c

```
&SYSTEM
  ibrav = 0, nat = 32, ntyp = 3
/
ATOMIC_SPECIES
O 16.00 O.upf
Er 167.26 Er.upf
Ge 72.64 Ge.upf
ATOMIC_POSITIONS crystal
O 0.565 0.222 0.107
O 0.435 0.778 0.893
O 0.363 0.991 0.395
O 0.065 0.278 0.893
O 0.198 0.990 0.108
O 0.637 0.009 0.605
O 0.698 0.510 0.892
O 0.863 0.509 0.605
O 0.137 0.491 0.395
O 0.587 0.826 0.217
O 0.913 0.326 0.217
O 0.087 0.674 0.783
O 0.802 0.010 0.892
O 0.615 0.431 0.390
O 0.302 0.490 0.108
O 0.115 0.069 0.610
O 0.385 0.569 0.610
O 0.413 0.174 0.783
O 0.935 0.722 0.107
O 0.885 0.931 0.390
Er 0.872 0.229 0.472
Er 0.864 0.042 0.136
Er 0.128 0.771 0.528
Er 0.136 0.958 0.864
Er 0.628 0.729 0.472
Er 0.364 0.458 0.864
Er 0.636 0.542 0.136
Er 0.372 0.271 0.528
Ge 0.407 0.026 0.198
Ge 0.093 0.526 0.198
Ge 0.907 0.474 0.802
Ge 0.593 0.974 0.802
CELL_PARAMETERS angstrom
7.004 0.000 0.000
0.000 6.734 0.000
0.000 2.314 8.943
```

Q.
Here is a relaxed structure of Er2GeO5 from the Materials Project. Energies are from PBE-GGA. Values from VASP.

Properties
Symmetry: C2/c

```
&SYSTEM
  ibrav = 0, nat = 48, ntyp = 3
/
ATOMIC_SPECIES
O 16.00 O.upf
Er 167.26 Er.upf
Ge 72.64 Ge.upf
ATOMIC_POSITIONS crystal
O 0.858 0.401 0.221
O 0.741 0.259 0.750
O 0.858 0.763 0.399
O 0.457 0.560 0.882
O 0.122 0.543 0.077
O 0.763 0.858 0.899
O 0.401 0.858 0.721
O 0.474 0.122 0.892
O 0.228 0.849 0.961
O 0.526 0.878 0.108
O 0.237 0.142 0.101
O 0.440 0.543 0.618
O 0.543 0.122 0.577
O 0.142 0.237 0.601
O 0.560 0.457 0.382
O 0.142 0.599 0.779
O 0.117 0.187 0.884
O 0.543 0.440 0.118
O 0.187 0.117 0.384
O 0.878 0.526 0.608
O 0.772 0.151 0.039
O 0.813 0.883 0.616
O 0.457 0.878 0.423
O 0.849 0.228 0.461
O 0.878 0.457 0.923
O 0.151 0.772 0.539
O 0.259 0.741 0.250
O 0.883 0.813 0.116
O 0.599 0.142 0.279
O 0.122 0.474 0.392
Er 0.346 0.628 0.428
Er 0.998 0.640 0.248
Er 0.002 0.360 0.752
Er 0.994 0.702 0.937
Er 0.360 0.002 0.252
Er 0.372 0.654 0.072
Er 0.298 0.006 0.563
Er 0.654 0.372 0.572
Er 0.640 0.998 0.748
Er 0.628 0.346 0.928
Er 0.006 0.298 0.063
Er 0.702 0.994 0.437
Ge 0.359 0.641 0.750
Ge 0.936 0.725 0.546
Ge 0.275 0.064 0.954
Ge 0.725 0.936 0.046
Ge 0.641 0.359 0.250
Ge 0.064 0.275 0.454
CELL_PARAMETERS angstrom
-7.773 -1.863 -0.345
1.660 -6.954 -3.590
0.271 -5.696 9.726
```

Which structure loses on stability? P does.

P.
Here is a relaxed structure of KErP4H4O18 from the Materials Project. Energies are from PBE-GGA. Values from VASP.

Properties
Symmetry: P-1

```
&SYSTEM
  ibrav = 0, nat = 56, ntyp = 5
/
ATOMIC_SPECIES
O 16.00 O.upf
H 1.01 H.upf
K 39.10 K.upf
P 30.97 P.upf
Er 167.26 Er.upf
ATOMIC_POSITIONS crystal
O 0.588 0.784 0.355
O 0.967 0.845 0.049
O 0.859 0.226 0.340
O 0.060 0.831 0.330
O 0.644 0.823 0.671
O 0.369 0.123 0.915
O 0.412 0.216 0.645
O 0.576 0.249 0.434
O 0.775 0.143 0.840
O 0.728 0.140 0.009
O 0.829 0.059 0.170
O 0.171 0.941 0.830
O 0.156 0.033 0.548
O 0.844 0.967 0.452
O 0.356 0.177 0.329
O 0.225 0.857 0.160
O 0.784 0.588 0.145
O 0.079 0.258 0.120
O 0.424 0.751 0.566
O 0.248 0.575 0.067
O 0.877 0.632 0.416
O 0.862 0.272 0.508
O 0.631 0.877 0.085
O 0.267 0.073 0.375
O 0.940 0.169 0.670
O 0.834 0.650 0.826
O 0.033 0.155 0.951
O 0.752 0.425 0.933
O 0.138 0.728 0.492
O 0.123 0.368 0.584
O 0.921 0.742 0.880
O 0.216 0.412 0.855
O 0.166 0.350 0.174
O 0.272 0.860 0.991
O 0.141 0.774 0.660
O 0.733 0.927 0.625
H 0.433 0.228 0.581
H 0.567 0.772 0.419
H 0.794 0.516 0.885
H 0.479 0.207 0.385
H 0.226 0.434 0.919
H 0.206 0.484 0.115
H 0.521 0.793 0.615
H 0.774 0.566 0.081
K 0.469 0.469 0.749
K 0.531 0.531 0.251
P 0.181 0.786 0.073
P 0.025 0.219 0.586
P 0.215 0.818 0.572
P 0.220 0.025 0.913
P 0.975 0.781 0.414
P 0.785 0.182 0.428
P 0.819 0.214 0.927
P 0.780 0.975 0.087
Er 0.922 0.918 0.751
Er 0.078 0.082 0.249
CELL_PARAMETERS angstrom
4.590 5.965 -0.116
-4.582 5.960 0.182
-0.352 0.084 15.082
```

Q.
Here is a relaxed structure of KErP4H4O18 from the Materials Project. Energies are from PBE-GGA. Values from VASP.

Properties
Symmetry: C2/c

```
&SYSTEM
  ibrav = 0, nat = 56, ntyp = 5
/
ATOMIC_SPECIES
O 16.00 O.upf
H 1.01 H.upf
Er 167.26 Er.upf
P 30.97 P.upf
K 39.10 K.upf
ATOMIC_POSITIONS crystal
O 0.566 0.750 0.562
O 0.143 0.280 0.506
O 0.434 0.250 0.438
O 0.881 0.375 0.584
O 0.750 0.566 0.062
O 0.280 0.143 0.006
O 0.158 0.230 0.338
O 0.230 0.158 0.838
O 0.924 0.246 0.118
O 0.172 0.665 0.830
O 0.927 0.816 0.331
O 0.966 0.152 0.950
O 0.720 0.857 0.994
O 0.816 0.927 0.831
O 0.073 0.184 0.669
O 0.583 0.216 0.651
O 0.034 0.848 0.050
O 0.857 0.720 0.494
O 0.665 0.172 0.330
O 0.625 0.119 0.916
O 0.828 0.335 0.170
O 0.848 0.034 0.550
O 0.417 0.784 0.349
O 0.184 0.073 0.169
O 0.152 0.966 0.450
O 0.375 0.881 0.084
O 0.842 0.770 0.662
O 0.784 0.417 0.849
O 0.250 0.434 0.938
O 0.216 0.583 0.151
O 0.076 0.754 0.882
O 0.770 0.842 0.162
O 0.246 0.924 0.618
O 0.754 0.076 0.382
O 0.335 0.828 0.670
O 0.119 0.625 0.416
H 0.440 0.778 0.413
H 0.791 0.476 0.108
H 0.222 0.560 0.087
H 0.778 0.440 0.913
H 0.560 0.222 0.587
H 0.476 0.791 0.608
H 0.524 0.209 0.392
H 0.209 0.524 0.892
Er 0.921 0.079 0.250
Er 0.079 0.921 0.750
P 0.018 0.772 0.413
P 0.184 0.220 0.927
P 0.816 0.780 0.073
P 0.780 0.816 0.573
P 0.220 0.184 0.427
P 0.982 0.228 0.587
P 0.772 0.018 0.913
P 0.228 0.982 0.087
K 0.518 0.482 0.750
K 0.482 0.518 0.250
CELL_PARAMETERS angstrom
0.135 -5.395 -5.088
5.857 4.321 -1.427
8.969 -8.547 8.665
```

Which structure loses on stability? P does.